{
  "formula": "CaSn5O7",
  "functional": "GGA-PBE",
  "state": "optimized geometry",
  "cell": [[1.615, -5.376, 0.000], [1.615, 5.376, 0.000], [0.000, 0.000, 23.049]],
  "species": ["Ca", "Ca", "O", "O", "O", "O", "O", "O", "O", "O", "O", "O", "O", "O", "O", "O", "Sn", "Sn", "Sn", "Sn", "Sn", "Sn", "Sn", "Sn", "Sn", "Sn"],
  "frac_coords": [[0.814, 0.186, 0.250], [0.186, 0.814, 0.750], [0.373, 0.627, 0.583], [0.928, 0.072, 0.150], [0.072, 0.928, 0.850], [0.928, 0.072, 0.350], [0.472, 0.528, 0.250], [0.816, 0.184, 0.683], [0.184, 0.816, 0.317], [0.528, 0.472, 0.750], [0.184, 0.816, 0.183], [0.072, 0.928, 0.650], [0.373, 0.627, 0.917], [0.627, 0.373, 0.417], [0.627, 0.373, 0.083], [0.816, 0.184, 0.817], [0.549, 0.451, 0.333], [0.549, 0.451, 0.167], [0.451, 0.549, 0.833], [0.274, 0.726, 0.416], [0.451, 0.549, 0.667], [0.274, 0.726, 0.084], [0.000, 0.000, 0.500], [0.000, 0.000, 0.000], [0.726, 0.274, 0.584], [0.726, 0.274, 0.916]],
  "dft_energy_ry_per_atom": -0.4270,
  "m_tot_mub_per_atom": 0.00,
  "space_group": "Cmcm, No. 63"
}

***

{
  "formula": "CaSnO2",
  "functional": "GGA-PBE",
  "state": "optimized geometry",
  "cell": [[-3.342, -0.058, 0.998], [0.816, -2.198, 8.646], [-0.741, 9.675, 3.145]],
  "species": ["Sn", "Sn", "Sn", "Sn", "O", "O", "O", "O", "O", "O", "O", "O", "Ca", "Ca", "Ca", "Ca"],
  "frac_coords": [[0.789, 0.813, 0.582], [0.232, 0.214, 0.398], [0.365, 0.479, 0.782], [0.636, 0.548, 0.199], [0.499, 0.290, 0.673], [0.077, 0.814, 0.032], [0.492, 0.738, 0.306], [0.841, 0.605, 0.692], [0.164, 0.423, 0.288], [0.803, 0.145, 0.268], [0.898, 0.221, 0.946], [0.214, 0.883, 0.711], [0.645, 0.777, 0.909], [0.332, 0.250, 0.071], [0.951, 0.880, 0.237], [0.039, 0.148, 0.743]],
  "dft_energy_ry_per_atom": -0.4302,
  "m_tot_mub_per_atom": 0.00,
  "space_group": "P1, No. 1"
}

***

{
  "formula": "CaSnO3",
  "functional": "GGA-PBE",
  "state": "optimized geometry",
  "cell": [[5.407, -2.785, 0.000], [5.407, 2.785, 0.000], [3.972, 0.000, 4.606]],
  "species": ["O", "O", "O", "O", "O", "O", "Ca", "Ca", "Sn", "Sn"],
  "frac_coords": [[0.036, 0.444, 0.792], [0.792, 0.036, 0.444], [0.556, 0.208, 0.964], [0.208, 0.964, 0.556], [0.964, 0.556, 0.208], [0.444, 0.792, 0.036], [0.363, 0.363, 0.363], [0.637, 0.637, 0.637], [0.846, 0.846, 0.846], [0.154, 0.154, 0.154]],
  "dft_energy_ry_per_atom": -0.4733,
  "space_group": "R-3, No. 148"
}